A relaxed SnPS3 crystal. Source: the Materials Project, functional PBE.

Calculated total energy = -0.172 hartree per atom

Unit cell a=6.750 b=11.719 c=7.202 alpha=90.00 beta=108.11 gamma=90.00
Space group C2/m (No. 12)
One atom of each set of equivalent atoms:
Sn: 0.000 0.167 0.000 x4
P: 0.055 0.500 0.165 x4
S: 0.208 0.500 0.750 x4
S: 0.228 0.355 0.253 x8

=====

A relaxed TlSnPS4 crystal. Source: the Materials Project, functional PBE.

Calculated total energy = -0.163 hartree per atom

Unit cell a=12.228 b=8.958 c=6.798 alpha=90.00 beta=90.00 gamma=90.00
Space group Pna2_1 (No. 33)
One atom of each set of equivalent atoms:
Tl: 0.110 0.132 0.000 x4
Sn: 0.129 0.615 0.050 x4
P: 0.155 0.369 0.479 x4
S: 0.043 0.197 0.496 x4
S: 0.070 0.569 0.454 x4
S: 0.244 0.844 0.744 x4
S: 0.249 0.867 0.227 x4

=====

A relaxed SrThP2S8 crystal. Source: the Materials Project, functional PBE.

Calculated total energy = -0.201 hartree per atom

Unit cell a=11.242 b=11.242 c=9.764 alpha=90.00 beta=90.00 gamma=90.00
Space group P4_2/mbc (No. 135)
One atom of each set of equivalent atoms:
Sr: 0.000 0.500 0.250 x4
Th: 0.000 0.000 0.250 x4
P: 0.035 0.241 0.000 x8
S: 0.069 0.766 0.173 x16
S: 0.083 0.867 0.500 x8
S: 0.110 0.366 0.500 x8

=====

A relaxed SrUP2S8 crystal. Source: the Materials Project, functional PBE.

Calculated total energy = -0.207 hartree per atom

Unit cell a=11.264 b=11.264 c=9.636 alpha=90.00 beta=90.00 gamma=90.00
Space group P4_2/mbc (No. 135)
One atom of each set of equivalent atoms:
Sr: 0.000 0.500 0.250 x4
U: 0.000 0.000 0.250 x4
P: 0.036 0.237 0.000 x8
S: 0.068 0.772 0.176 x16
S: 0.080 0.868 0.500 x8
S: 0.113 0.367 0.500 x8

=====

A relaxed TaPS crystal. Source: the Materials Project, functional PBE.

Calculated total energy = -0.291 hartree per atom

Unit cell a=3.455 b=4.744 c=11.933 alpha=90.00 beta=90.00 gamma=90.00
Space group Immm (No. 71)
One atom of each set of equivalent atoms:
Ta: 0.000 0.000 0.122 x4
P: 0.000 0.236 0.500 x4
S: 0.000 0.500 0.213 x4

=====

A relaxed TaPS6 crystal. Source: the Materials Project, functional PBE.

Calculated total energy = -0.213 hartree per atom

Unit cell a=16.142 b=16.142 c=13.575 alpha=90.00 beta=90.00 gamma=90.00
Space group I4_1/acd (No. 142, origin choice 2)
One atom of each set of equivalent atoms:
Ta: 0.076 0.174 0.125 x16
P: 0.069 0.000 0.250 x16
S: 0.003 0.032 0.127 x32
S: 0.043 0.204 0.505 x32
S: 0.144 0.103 0.265 x32

=====

A relaxed TbPS4 crystal. Source: the Materials Project, functional PBE.

Calculated total energy = -0.201 hartree per atom

Unit cell a=10.831 b=10.831 c=19.140 alpha=90.00 beta=90.00 gamma=90.00
Space group I4_1/acd (No. 142, origin choice 2)
One atom of each set of equivalent atoms:
Tb: 0.000 0.250 0.125 x8
Tb: 0.000 0.250 0.375 x8
P: 0.038 0.000 0.250 x16
S: 0.064 0.003 0.840 x32
S: 0.088 0.114 0.003 x32

=====

A relaxed Th2P2S crystal. Source: the Materials Project, functional PBE.

Calculated total energy = -0.214 hartree per atom

Unit cell a=3.652 b=3.652 c=12.653 alpha=90.00 beta=90.00 gamma=90.00
Space group P4/mmm (No. 123)
One atom of each set of equivalent atoms:
Th: 0.000 0.000 0.205 x2
P: 0.000 0.000 0.422 x2
S: 0.000 0.000 0.000 x1

=====

A relaxed ThP2S6 crystal. Source: the Materials Project, functional PBE.

Calculated total energy = -0.207 hartree per atom

Unit cell a=7.114 b=7.114 c=9.903 alpha=90.00 beta=90.00 gamma=90.00
Space group P4_2/m (No. 84)
One atom of each set of equivalent atoms:
Th: 0.000 0.000 0.250 x2
P: 0.059 0.350 0.000 x4
S: 0.173 0.823 0.000 x4
S: 0.209 0.321 0.172 x8

=====

A relaxed ThPS crystal. Source: the Materials Project, functional PBE.

Calculated total energy = -0.265 hartree per atom

Unit cell a=3.963 b=3.963 c=8.218 alpha=90.00 beta=90.00 gamma=90.00
Space group P4/nmm (No. 129, origin choice 2)
One atom of each set of equivalent atoms:
Th: 0.250 0.250 0.233 x2
P: 0.250 0.750 0.500 x2
S: 0.250 0.250 0.867 x2

=====

A relaxed Ti4P8S29 crystal. Source: the Materials Project, functional PBE.

Calculated total energy = -0.193 hartree per atom

Unit cell a=20.303 b=17.654 c=12.895 alpha=90.00 beta=98.02 gamma=90.00
Space group Cc (No. 9)
One atom of each set of equivalent atoms:
Ti: 0.000 0.039 0.000 x4
Ti: 0.054 0.351 0.275 x4
Ti: 0.243 0.350 0.924 x4
Ti: 0.295 0.039 0.200 x4
P: 0.113 0.285 0.490 x4
P: 0.148 0.025 0.100 x4
P: 0.148 0.346 0.099 x4
P: 0.196 0.286 0.701 x4
P: 0.356 0.191 0.292 x4
P: 0.382 0.427 0.965 x4
P: 0.413 0.074 0.735 x4
P: 0.438 0.308 0.410 x4
S: 0.006 0.474 0.238 x4
S: 0.020 0.141 0.870 x4
S: 0.040 0.335 0.719 x4
S: 0.062 0.287 0.110 x4
S: 0.073 0.087 0.149 x4
S: 0.085 0.224 0.360 x4
S: 0.085 0.393 0.461 x4
S: 0.088 0.256 0.659 x4
S: 0.097 0.035 0.477 x4
S: 0.139 0.406 0.962 x4
S: 0.159 0.405 0.239 x4
S: 0.197 0.035 0.723 x4
S: 0.213 0.395 0.739 x4
S: 0.216 0.261 0.547 x4
S: 0.223 0.087 0.050 x4
S: 0.224 0.224 0.829 x4
S: 0.233 0.285 0.088 x4
S: 0.274 0.140 0.330 x4
S: 0.289 0.474 0.962 x4
S: 0.354 0.047 0.598 x4
S: 0.355 0.312 0.287 x4
S: 0.360 0.315 0.942 x4
S: 0.361 0.028 0.845 x4
S: 0.375 0.140 0.160 x4
S: 0.418 0.361 0.540 x4
S: 0.435 0.472 0.855 x4
S: 0.436 0.186 0.758 x4
S: 0.438 0.188 0.416 x4
S: 0.441 0.454 0.103 x4